(1)
{"formula": "Sb2F13", "functional": "meta-GGA r2SCAN", "state": "relaxed", "lattice": [[5.087, 0.000, 0.000], [1.042, 6.588, 0.000], [1.135, 3.099, 6.653]], "species": ["Sb", "Sb", "F", "F", "F", "F", "F", "F", "F", "F", "F", "F", "F", "F", "F"], "frac_coords": [[0.178, 0.126, 0.213], [0.822, 0.874, 0.787], [0.000, 0.000, 0.500], [0.080, 0.871, 0.207], [0.152, 0.709, 0.863], [0.263, 0.351, 0.277], [0.359, 0.232, 0.957], [0.448, 0.439, 0.598], [0.490, 0.955, 0.339], [0.510, 0.045, 0.661], [0.552, 0.561, 0.402], [0.641, 0.768, 0.043], [0.737, 0.649, 0.723], [0.848, 0.291, 0.137], [0.920, 0.129, 0.793]], "final_energy_ry_per_atom": -0.5880, "sg": "P-1 (2)"}

(2)
{"formula": "Fe2O3", "functional": "meta-GGA r2SCAN", "state": "relaxed", "lattice": [[2.546, 1.470, 4.591], [-2.546, 1.470, 4.591], [0.000, -2.940, 4.591]], "species": ["Fe", "Fe", "Fe", "Fe", "O", "O", "O", "O", "O", "O"], "frac_coords": [[0.145, 0.145, 0.145], [0.355, 0.355, 0.355], [0.645, 0.645, 0.645], [0.855, 0.855, 0.855], [0.055, 0.750, 0.445], [0.250, 0.555, 0.945], [0.445, 0.055, 0.750], [0.555, 0.945, 0.250], [0.750, 0.445, 0.055], [0.945, 0.250, 0.555]], "final_energy_ry_per_atom": -0.8007, "sg": "R-3c (167)"}

(3)
{"formula": "GdTlMo2O8", "functional": "meta-GGA r2SCAN", "state": "relaxed", "lattice": [[5.113, 0.000, 0.000], [0.000, 18.685, 0.000], [0.000, 0.000, 8.075]], "species": ["Gd", "Gd", "Gd", "Gd", "Tl", "Tl", "Tl", "Tl", "Mo", "Mo", "Mo", "Mo", "Mo", "Mo", "Mo", "Mo", "O", "O", "O", "O", "O", "O", "O", "O", "O", "O", "O", "O", "O", "O", "O", "O", "O", "O", "O", "O", "O", "O", "O", "O", "O", "O", "O", "O", "O", "O", "O", "O"], "frac_coords": [[0.000, 0.007, 0.250], [0.000, 0.993, 0.750], [0.500, 0.493, 0.750], [0.500, 0.507, 0.250], [0.000, 0.230, 0.750], [0.000, 0.770, 0.250], [0.500, 0.270, 0.250], [0.500, 0.730, 0.750], [0.020, 0.400, 0.018], [0.020, 0.600, 0.518], [0.480, 0.100, 0.518], [0.480, 0.900, 0.018], [0.520, 0.100, 0.982], [0.520, 0.900, 0.482], [0.980, 0.400, 0.482], [0.980, 0.600, 0.982], [0.106, 0.314, 0.475], [0.106, 0.686, 0.975], [0.225, 0.401, 0.842], [0.225, 0.599, 0.342], [0.238, 0.409, 0.190], [0.238, 0.591, 0.690], [0.248, 0.464, 0.504], [0.248, 0.536, 0.004], [0.252, 0.036, 0.004], [0.252, 0.964, 0.504], [0.262, 0.091, 0.690], [0.262, 0.909, 0.190], [0.275, 0.099, 0.342], [0.275, 0.901, 0.842], [0.394, 0.186, 0.975], [0.394, 0.814, 0.475], [0.606, 0.186, 0.525], [0.606, 0.814, 0.025], [0.725, 0.099, 0.158], [0.725, 0.901, 0.658], [0.738, 0.091, 0.810], [0.738, 0.909, 0.310], [0.748, 0.036, 0.496], [0.748, 0.964, 0.996], [0.752, 0.464, 0.996], [0.752, 0.536, 0.496], [0.762, 0.409, 0.310], [0.762, 0.591, 0.810], [0.775, 0.401, 0.658], [0.775, 0.599, 0.158], [0.894, 0.314, 0.025], [0.894, 0.686, 0.525]], "final_energy_ry_per_atom": -1.3839, "sg": "Pbcn (60)"}

(4)
{"formula": "AcMgZn2", "functional": "meta-GGA r2SCAN", "state": "relaxed", "lattice": [[7.286, 0.000, 0.000], [0.000, 7.286, 0.000], [0.000, 0.000, 7.286]], "species": ["Ac", "Ac", "Ac", "Ac", "Mg", "Mg", "Mg", "Mg", "Zn", "Zn", "Zn", "Zn", "Zn", "Zn", "Zn", "Zn"], "frac_coords": [[0.000, 0.000, 0.000], [0.000, 0.500, 0.500], [0.500, 0.000, 0.500], [0.500, 0.500, 0.000], [0.000, 0.000, 0.500], [0.000, 0.500, 0.000], [0.500, 0.000, 0.000], [0.500, 0.500, 0.500], [0.250, 0.250, 0.250], [0.250, 0.250, 0.750], [0.250, 0.750, 0.250], [0.250, 0.750, 0.750], [0.750, 0.250, 0.250], [0.750, 0.250, 0.750], [0.750, 0.750, 0.250], [0.750, 0.750, 0.750]], "final_energy_ry_per_atom": -1.6817, "sg": "Fm-3m (225)"}

(5)
{"formula": "YMgTl", "functional": "meta-GGA r2SCAN", "state": "relaxed", "lattice": [[7.531, 0.000, 0.000], [-3.765, 6.522, 0.000], [0.000, 0.000, 4.630]], "species": ["Y", "Y", "Y", "Mg", "Mg", "Mg", "Tl", "Tl", "Tl"], "frac_coords": [[0.000, 0.572, 0.000], [0.428, 0.428, 0.000], [0.572, 0.000, 0.000], [0.000, 0.243, 0.500], [0.243, 0.000, 0.500], [0.757, 0.757, 0.500], [0.000, 0.000, 0.000], [0.333, 0.667, 0.500], [0.667, 0.333, 0.500]], "final_energy_ry_per_atom": -1.9357, "sg": "P-62m (189)"}

(6)
{"formula": "Cs3Y2Cl9", "functional": "meta-GGA r2SCAN", "state": "relaxed", "lattice": [[6.561, 3.788, 6.139], [-6.561, 3.788, 6.139], [0.000, -7.575, 6.139]], "species": ["Cs", "Cs", "Cs", "Cs", "Cs", "Cs", "Y", "Y", "Y", "Y", "Cl", "Cl", "Cl", "Cl", "Cl", "Cl", "Cl", "Cl", "Cl", "Cl", "Cl", "Cl", "Cl", "Cl", "Cl", "Cl", "Cl", "Cl"], "frac_coords": [[0.089, 0.750, 0.411], [0.250, 0.589, 0.911], [0.411, 0.089, 0.750], [0.589, 0.911, 0.250], [0.750, 0.411, 0.089], [0.911, 0.250, 0.589], [0.148, 0.148, 0.148], [0.352, 0.352, 0.352], [0.648, 0.648, 0.648], [0.852, 0.852, 0.852], [0.080, 0.263, 0.915], [0.085, 0.920, 0.737], [0.097, 0.403, 0.250], [0.237, 0.420, 0.585], [0.250, 0.097, 0.403], [0.263, 0.915, 0.080], [0.403, 0.250, 0.097], [0.415, 0.763, 0.580], [0.420, 0.585, 0.237], [0.580, 0.415, 0.763], [0.585, 0.237, 0.420], [0.597, 0.750, 0.903], [0.737, 0.085, 0.920], [0.750, 0.903, 0.597], [0.763, 0.580, 0.415], [0.903, 0.597, 0.750], [0.915, 0.080, 0.263], [0.920, 0.737, 0.085]], "final_energy_ry_per_atom": -1.0810, "sg": "R-3c (167)"}

(7)
{"formula": "CsH7O4", "functional": "meta-GGA r2SCAN", "state": "relaxed", "lattice": [[8.594, 0.000, 0.000], [0.000, 5.941, 0.000], [-7.493, 0.000, 9.757]], "species": ["Cs", "Cs", "Cs", "Cs", "H", "H", "H", "H", "H", "H", "H", "H", "H", "H", "H", "H", "H", "H", "H", "H", "H", "H", "H", "H", "H", "H", "H", "H", "H", "H", "H", "H", "O", "O", "O", "O", "O", "O", "O", "O", "O", "O", "O", "O", "O", "O", "O", "O"], "frac_coords": [[0.176, 0.154, 0.240], [0.176, 0.346, 0.740], [0.824, 0.654, 0.260], [0.824, 0.846, 0.760], [0.111, 0.122, 0.480], [0.111, 0.378, 0.980], [0.118, 0.635, 0.108], [0.118, 0.865, 0.608], [0.307, 0.634, 0.056], [0.307, 0.866, 0.556], [0.352, 0.528, 0.517], [0.352, 0.972, 0.017], [0.361, 0.663, 0.411], [0.361, 0.837, 0.911], [0.423, 0.187, 0.629], [0.423, 0.313, 0.129], [0.428, 0.615, 0.262], [0.428, 0.885, 0.762], [0.572, 0.115, 0.238], [0.572, 0.385, 0.738], [0.577, 0.687, 0.871], [0.577, 0.813, 0.371], [0.639, 0.163, 0.089], [0.639, 0.337, 0.589], [0.648, 0.028, 0.983], [0.648, 0.472, 0.483], [0.693, 0.134, 0.444], [0.693, 0.366, 0.944], [0.882, 0.135, 0.392], [0.882, 0.365, 0.892], [0.889, 0.622, 0.020], [0.889, 0.878, 0.520], [0.006, 0.698, 0.102], [0.006, 0.802, 0.602], [0.283, 0.646, 0.446], [0.283, 0.854, 0.946], [0.304, 0.520, 0.113], [0.304, 0.980, 0.613], [0.496, 0.169, 0.139], [0.496, 0.331, 0.639], [0.504, 0.669, 0.361], [0.504, 0.831, 0.861], [0.696, 0.020, 0.387], [0.696, 0.480, 0.887], [0.717, 0.146, 0.054], [0.717, 0.354, 0.554], [0.994, 0.198, 0.398], [0.994, 0.302, 0.898]], "final_energy_ry_per_atom": -0.5360, "sg": "P2_1/c (14)"}

(8)
{"formula": "Sc2Se3", "functional": "meta-GGA r2SCAN", "state": "relaxed", "lattice": [[3.829, 0.000, 0.000], [0.000, 5.400, 0.000], [0.000, 0.000, 11.893]], "species": ["Sc", "Sc", "Sc", "Sc", "Se", "Se", "Se", "Se", "Se", "Se"], "frac_coords": [[0.000, 0.000, 0.161], [0.000, 0.000, 0.839], [0.500, 0.500, 0.339], [0.500, 0.500, 0.661], [0.000, 0.500, 0.180], [0.000, 0.500, 0.500], [0.000, 0.500, 0.820], [0.500, 0.000, 0.000], [0.500, 0.000, 0.320], [0.500, 0.000, 0.680]], "final_energy_ry_per_atom": -1.1086, "sg": "Immm (71)"}

no.,energy of formation (kJ/mol of formula units)
1,-2697
2,-745
3,-2841
4,-86
5,-130
6,-3338
7,-1382
8,-934